# 1
Material: SbN2F5
Method: DFT, PBE
State: relaxed

abc: 15.436 6.584 7.011
angles: 89.16 90.00 90.00
Fractional positions:
F 0.861 0.963 0.087
F 0.336 0.102 0.047
F 0.164 0.102 0.547
F 0.141 0.430 0.969
F 0.006 0.274 0.715
F 0.139 0.037 0.913
F 0.641 0.570 0.531
F 0.163 0.492 0.601
F 0.639 0.963 0.587
F 0.494 0.274 0.215
F 0.664 0.898 0.953
F 0.859 0.570 0.031
F 0.836 0.898 0.453
F 0.994 0.726 0.285
F 0.506 0.726 0.785
F 0.359 0.430 0.469
F 0.837 0.508 0.399
F 0.361 0.037 0.413
F 0.337 0.492 0.101
F 0.663 0.508 0.899
N 0.312 0.771 0.746
N 0.506 0.764 0.239
N 0.812 0.229 0.754
N 0.494 0.236 0.761
N 0.006 0.236 0.261
N 0.688 0.229 0.254
N 0.994 0.764 0.739
N 0.188 0.771 0.246
Sb 0.874 0.733 0.249
Sb 0.374 0.267 0.251
Sb 0.126 0.267 0.751
Sb 0.626 0.733 0.749

Computed properties:
Formation energy, eV per atom: -0.574
Offset from the most stable computed form, eV/atom: 0.000

---

# 2
Material: SbN2F5
Method: DFT, PBE
State: relaxed

abc: 8.204 8.204 6.836
angles: 89.71 89.71 133.90
Fractional positions:
N 0.756 0.244 0.250
N 0.244 0.756 0.750
N 0.558 0.442 0.750
N 0.442 0.558 0.250
F 0.866 0.667 0.412
F 0.071 0.263 0.967
F 0.737 0.929 0.533
F 0.263 0.071 0.467
F 0.667 0.866 0.912
F 0.929 0.737 0.033
F 0.751 0.249 0.750
F 0.333 0.134 0.088
F 0.134 0.333 0.588
F 0.249 0.751 0.250
Sb 0.875 0.125 0.750
Sb 0.125 0.875 0.250

Computed properties:
Formation energy, eV per atom: -0.570
Offset from the most stable computed form, eV/atom: 0.004

---

# 3
Material: SbN2F5
Method: DFT, PBE
State: relaxed

abc: 8.355 8.355 6.859
angles: 90.00 90.00 133.86
Fractional positions:
F 0.700 0.899 0.559
F 0.101 0.300 0.559
F 0.753 0.247 0.750
F 0.300 0.101 0.441
F 0.300 0.101 0.059
F 0.700 0.899 0.941
F 0.899 0.700 0.059
F 0.247 0.753 0.250
F 0.101 0.300 0.941
F 0.899 0.700 0.441
N 0.245 0.755 0.750
N 0.755 0.245 0.250
N 0.441 0.559 0.250
N 0.559 0.441 0.750
Sb 0.126 0.874 0.250
Sb 0.874 0.126 0.750

Computed properties:
Formation energy, eV per atom: -0.571
Offset from the most stable computed form, eV/atom: 0.003

---

# 4
Material: ScNF4
Method: DFT, PBE
State: relaxed

abc: 3.957 5.851 7.823
angles: 90.00 90.00 109.76
Fractional positions:
Sc 0.000 0.000 0.000
Sc 0.000 0.000 0.500
F 0.500 0.000 0.000
F 0.057 0.113 0.250
F 0.500 0.000 0.500
F 0.826 0.652 0.093
F 0.174 0.348 0.907
F 0.174 0.348 0.593
F 0.943 0.887 0.750
F 0.826 0.652 0.407
N 0.310 0.621 0.250
N 0.690 0.379 0.750

Computed properties:
Formation energy, eV per atom: -2.036

---

# 5
Material: ScN3F6
Method: DFT, PBE
State: relaxed

abc: 6.495 6.533 7.438
angles: 55.32 56.99 69.68
Fractional positions:
N 0.747 0.737 0.741
N 0.258 0.242 0.225
N 0.455 0.473 0.497
F 0.262 0.261 0.737
F 0.846 0.823 0.207
F 0.211 0.786 0.740
F 0.785 0.204 0.742
F 0.608 0.345 0.371
F 0.314 0.624 0.377
Sc 0.013 0.005 0.864

Computed properties:
Formation energy, eV per atom: -0.751
Offset from the most stable computed form, eV/atom: 0.018

---

# 6
Material: ScN3F6
Method: DFT, PBE
State: relaxed

abc: 5.303 5.565 11.559
angles: 65.53 90.00 90.00
Fractional positions:
F 0.769 0.062 0.593
F 0.857 0.265 0.795
F 0.279 0.302 0.511
F 0.221 0.302 0.011
F 0.779 0.698 0.989
F 0.231 0.938 0.407
F 0.721 0.698 0.489
F 0.143 0.735 0.205
F 0.731 0.062 0.093
F 0.357 0.735 0.705
F 0.643 0.265 0.295
F 0.269 0.938 0.907
N 0.000 0.500 0.500
N 0.613 0.254 0.754
N 0.500 0.500 0.000
N 0.113 0.746 0.746
N 0.887 0.254 0.254
N 0.387 0.746 0.246
Sc 0.000 0.000 0.000
Sc 0.500 0.000 0.500

Computed properties:
Formation energy, eV per atom: -0.770
Offset from the most stable computed form, eV/atom: 0.000

---

# 7
Material: ScN3F6
Method: DFT, PBE
State: relaxed

abc: 5.246 5.246 9.951
angles: 90.00 90.00 90.00
Fractional positions:
F 0.708 0.831 0.500
F 0.500 0.500 0.705
F 0.669 0.792 0.000
F 0.000 0.000 0.795
F 0.292 0.169 0.500
F 0.792 0.331 0.000
F 0.500 0.500 0.295
F 0.000 0.000 0.205
F 0.831 0.292 0.500
F 0.169 0.708 0.500
F 0.208 0.669 0.000
F 0.331 0.208 0.000
N 0.000 0.500 0.250
N 0.500 0.000 0.750
N 0.000 0.500 0.750
N 0.500 0.500 0.000
N 0.000 0.000 0.500
N 0.500 0.000 0.250
Sc 0.500 0.500 0.500
Sc 0.000 0.000 0.000

Computed properties:
Formation energy, eV per atom: -0.473
Offset from the most stable computed form, eV/atom: 0.296

---

# 8
Material: ScN3F6
Method: DFT, PBE
State: relaxed

abc: 6.174 6.174 7.001
angles: 56.29 56.29 72.63
Fractional positions:
F 0.634 0.634 0.709
F 0.212 0.757 0.042
F 0.757 0.212 0.042
F 0.342 0.342 0.999
F 0.798 0.798 0.908
F 0.233 0.233 0.531
N 0.490 0.490 0.974
N 0.276 0.759 0.460
N 0.759 0.276 0.460
Sc 0.000 0.000 0.876

Computed properties:
Formation energy, eV per atom: -0.741
Offset from the most stable computed form, eV/atom: 0.029